# 1
# MgPHO9 | the Materials Project database | GGA-PBE | relaxed
# Total magnetization (Bohr magnetons per cell): 12.0
# Formation energy from the elements (eV per atom): -0.6838
data_MgPHO9
_space_group_name_H-M_alt 'R 3'
_space_group_IT_number 146
_space_group_name_Hall 'R 3'
_cell_length_a 7.8079
_cell_length_b 7.8079
_cell_length_c 8.9186
_cell_angle_alpha 90.00
_cell_angle_beta 90.00
_cell_angle_gamma 120.00
loop_
_atom_site_label
_atom_site_fract_x
_atom_site_fract_y
_atom_site_fract_z
_atom_site_occupancy
Mg1 0.0000 0.0000 0.0000 1
P1 0.0000 0.0000 0.5389 1
H1 0.0000 0.0000 0.3805 1
O1 0.0694 0.4803 0.5211 1
O2 0.1613 0.7536 0.8159 1
O3 0.2129 0.0954 0.5935 1

---

# 2
# MgP2H18O18 | the Materials Project database | GGA-PBE | relaxed
# Total magnetization (Bohr magnetons per cell): 6.0
# Formation energy from the elements (eV per atom): -1.3630
data_MgP2H18O18
_space_group_name_H-M_alt 'P -1'
_space_group_IT_number 2
_cell_length_a 5.876
_cell_length_b 7.030
_cell_length_c 10.606
_cell_angle_alpha 71.50
_cell_angle_beta 75.22
_cell_angle_gamma 71.32
loop_
_space_group_symop_operation_xyz
'x,y,z'
'-x,-y,-z'
loop_
_atom_site_label
_atom_site_fract_x
_atom_site_fract_y
_atom_site_fract_z
_atom_site_occupancy
Mg1 0.000 0.000 0.000 1
P1 0.325 0.072 0.682 1
H1 0.118 0.030 0.215 1
H2 0.180 0.584 0.727 1
H3 0.215 0.617 0.944 1
H4 0.220 0.594 0.101 1
H5 0.243 0.358 0.328 1
H6 0.249 0.366 0.826 1
H7 0.338 0.710 0.478 1
H8 0.381 0.987 0.124 1
H9 0.441 0.479 0.248 1
O1 0.140 0.981 0.654 1
O2 0.167 0.707 0.526 1
O3 0.200 0.694 0.011 1
O4 0.207 0.028 0.122 1
O5 0.258 0.511 0.807 1
O6 0.261 0.098 0.827 1
O7 0.264 0.488 0.261 1
O8 0.353 0.277 0.577 1
O9 0.413 0.071 0.341 1

---

# 3
# Mg2PHO5 | the Materials Project database | GGA-PBE | relaxed
# Total magnetization (Bohr magnetons per cell): 0.0
# Energy above the most stable polymorph in this dataset (eV per formula unit): 0.046
# Formation energy from the elements (eV per atom): -2.7725
data_Mg2PHO5
_space_group_name_H-M_alt 'P 1 21/c 1'
_space_group_IT_number 14
_cell_length_a 9.793
_cell_length_b 13.013
_cell_length_c 12.210
_cell_angle_alpha 90.00
_cell_angle_beta 108.45
_cell_angle_gamma 90.00
loop_
_space_group_symop_operation_xyz
'x,y,z'
'-x,-y,-z'
'-x,y+1/2,-z+1/2'
'x,-y+1/2,z+1/2'
loop_
_atom_site_label
_atom_site_fract_x
_atom_site_fract_y
_atom_site_fract_z
_atom_site_occupancy
Mg1 0.029 0.069 0.399 1
Mg2 0.051 0.573 0.416 1
Mg3 0.195 0.231 0.682 1
Mg4 0.208 0.749 0.195 1
Mg5 0.286 0.501 0.803 1
Mg6 0.309 0.021 0.812 1
Mg7 0.457 0.180 0.078 1
Mg8 0.470 0.677 0.109 1
P1 0.118 0.175 0.925 1
P2 0.120 0.679 0.922 1
P3 0.379 0.570 0.575 1
P4 0.385 0.077 0.575 1
H1 0.040 0.540 0.741 1
H2 0.227 0.578 0.136 1
H3 0.271 0.170 0.356 1
H4 0.460 0.710 0.764 1
O1 0.018 0.232 0.383 1
O2 0.019 0.726 0.382 1
O3 0.022 0.590 0.940 1
O4 0.032 0.084 0.953 1
O5 0.067 0.032 0.245 1
O6 0.181 0.142 0.828 1
O7 0.188 0.583 0.200 1
O8 0.189 0.653 0.827 1
O9 0.242 0.203 0.038 1
O10 0.242 0.702 0.036 1
O11 0.256 0.047 0.468 1
O12 0.267 0.552 0.453 1
O13 0.299 0.593 0.663 1
O14 0.311 0.163 0.292 1
O15 0.330 0.114 0.676 1
O16 0.427 0.719 0.259 1
O17 0.473 0.165 0.542 1
O18 0.477 0.026 0.115 1
O19 0.482 0.660 0.567 1
O20 0.486 0.516 0.121 1

---

Calculated values (eV per atom) of total energy after the MP2020 corrections for the records, taken in order: -5.262 -5.531 -6.855.